Compound: K6Tl2Sb3
Source: the Materials Project database
Functional: PBE
Structure: optimized geometry

Calculated values
E_form, eV/atom: -0.44
Crystal system: monoclinic
Mass density, g cm⁻³: 3.92

a b c (Å): 10.0551 10.0551 20.0440
angles (deg): 82.97 82.97 119.50
Last column: nearest neighbours and their distance in Å.
Element x y z (fractional)
Tl  0.7054  0.8753  0.4292  3 Sb 3.26-3.28, 1 K 3.64
Tl  0.1247  0.2946  0.0708  3 Sb 3.26-3.28, 1 K 3.64
K  0.3363  0.4855  0.4458  4 Sb 3.60-3.76, 3 Tl 3.71-3.95, 3 K 3.93-3.94
K  0.4131  0.2436  0.3225  1 Tl 3.49, 4 Sb 3.66-3.72, 2 K 3.88-3.89
K  0.7564  0.5869  0.1775  1 Tl 3.49, 4 Sb 3.66-3.72, 2 K 3.88-3.89
Sb  0.7897  0.9672  0.1306  2 Tl 3.22-3.28, 4 K 3.53-3.60
Sb  0.7275  0.6049  0.3619  2 Tl 3.15-3.27
Tl  0.8753  0.7054  0.9292  3 Sb 3.26-3.28, 1 K 3.64
Sb  0.1128  0.5716  0.1351  2 Tl 3.13-3.26
Tl  0.4390  0.2679  0.7277  3 Sb 3.13-3.22, 1 Tl 3.30, 2 K 3.49
Sb  0.3951  0.2725  0.1381  2 Tl 3.15-3.27
K  0.6720  0.2167  0.4464  2 Tl 3.66-3.89, 4 Sb 3.67-3.80, 5 K 3.89-4.08
Tl  0.5610  0.7321  0.2723  3 Sb 3.13-3.22, 1 Tl 3.30, 2 K 3.49
K  0.7999  0.2001  0.2500  4 Sb 3.53-3.70, 1 K 3.89
K  0.8746  0.0619  0.9457  4 Sb 3.60-3.87, 2 Tl 3.64-3.91, 3 K 3.88-4.00
K  0.4855  0.3363  0.9458  4 Sb 3.60-3.76, 3 Tl 3.71-3.95, 3 K 3.93-3.94
Sb  0.2103  0.0328  0.8694  2 Tl 3.22-3.28, 4 K 3.53-3.60
K  0.9764  0.0236  0.7500  4 Sb 3.53-3.63, 1 K 3.89
K  0.2167  0.6720  0.9464  2 Tl 3.66-3.89, 4 Sb 3.67-3.80, 5 K 3.89-4.08
Sb  0.8872  0.4284  0.8649  2 Tl 3.13-3.26
Tl  0.2946  0.1247  0.5708  3 Sb 3.26-3.28, 1 K 3.64
K  0.6637  0.5145  0.5542  4 Sb 3.60-3.76, 3 Tl 3.71-3.95, 3 K 3.93-3.94
K  0.5869  0.7564  0.6775  1 Tl 3.49, 4 Sb 3.66-3.72, 2 K 3.88-3.89
K  0.3280  0.7833  0.5536  2 Tl 3.66-3.89, 4 Sb 3.67-3.80, 5 K 3.89-4.08
K  0.5877  0.0757  0.8224  1 Tl 3.49, 4 Sb 3.59-3.76, 1 K 3.90
K  0.2001  0.7999  0.7500  4 Sb 3.53-3.70, 1 K 3.89
K  0.7833  0.3280  0.0536  2 Tl 3.66-3.89, 4 Sb 3.67-3.80, 5 K 3.89-4.08
K  0.0236  0.9764  0.2500  4 Sb 3.53-3.63, 1 K 3.89
K  0.5145  0.6637  0.0542  4 Sb 3.60-3.76, 3 Tl 3.71-3.95, 3 K 3.93-3.94
K  0.2436  0.4131  0.8225  1 Tl 3.49, 4 Sb 3.66-3.72, 2 K 3.88-3.89
Tl  0.2679  0.4390  0.2277  3 Sb 3.13-3.22, 1 Tl 3.30, 2 K 3.49
Sb  0.5716  0.1128  0.6351  2 Tl 3.13-3.26
Sb  0.6049  0.7275  0.8619  2 Tl 3.15-3.27
K  0.0619  0.8746  0.4457  4 Sb 3.60-3.87, 2 Tl 3.64-3.91, 3 K 3.88-4.00
K  0.9243  0.4123  0.6776  1 Tl 3.49, 4 Sb 3.59-3.76, 1 K 3.90
K  0.4123  0.9243  0.1776  1 Tl 3.49, 4 Sb 3.59-3.76, 1 K 3.90
Sb  0.4284  0.8872  0.3649  2 Tl 3.13-3.26
Sb  0.2725  0.3951  0.6381  2 Tl 3.15-3.27
K  0.0757  0.5877  0.3224  1 Tl 3.49, 4 Sb 3.59-3.76, 1 K 3.90
K  0.1254  0.9381  0.0543  4 Sb 3.60-3.87, 2 Tl 3.64-3.91, 3 K 3.88-4.00
Sb  0.9672  0.7897  0.6306  2 Tl 3.22-3.28, 4 K 3.53-3.60
Sb  0.0328  0.2103  0.3694  2 Tl 3.22-3.28, 4 K 3.53-3.60
K  0.9381  0.1254  0.5543  4 Sb 3.60-3.87, 2 Tl 3.64-3.91, 3 K 3.88-4.00
Tl  0.7321  0.5610  0.7723  3 Sb 3.13-3.22, 1 Tl 3.30, 2 K 3.49